K2NiF6 | PBE+U | relaxed

Its space group is Fm-3m. The electronic total energy comes out at -3.9637 eV/atom. As for the calculated formation energy: -2074 kJ/mol of formula units. For the volume, the calculation gives 15.5 A^3/atom.

Structure (CIF):
```
data_K2NiF6
_chemical_formula_sum 'K2 Ni1 F6'
_cell_length_a 5.826
_cell_length_b 5.826
_cell_length_c 5.826
_cell_angle_alpha 60.00
_cell_angle_beta 60.00
_cell_angle_gamma 60.00
_symmetry_space_group_name_H-M 'P 1'
_symmetry_Int_Tables_number 1
_symmetry_space_group_name_Hall 'P 1'
loop_
_atom_site_label
_atom_site_fract_x
_atom_site_fract_y
_atom_site_fract_z
F1 0.219 0.219 0.781
F2 0.219 0.781 0.219
F3 0.781 0.219 0.781
K1 0.750 0.750 0.750
F4 0.781 0.219 0.219
F5 0.219 0.781 0.781
F6 0.781 0.781 0.219
Ni1 0.000 0.000 0.000
K2 0.250 0.250 0.250
```

K3Ni2F7 | PBE+U | relaxed

Its space group is I4/mmm. The electronic total energy comes out at -4.3644 eV/atom. As for the calculated formation energy: -3126 kJ/mol of formula units. For the volume, the calculation gives 14.7 A^3/atom.

Structure (CIF):
```
data_K3Ni2F7
_chemical_formula_sum 'K3 Ni2 F7'
_cell_length_a 11.031
_cell_length_b 11.031
_cell_length_c 11.031
_cell_angle_alpha 158.71
_cell_angle_beta 158.71
_cell_angle_gamma 30.28
_symmetry_space_group_name_H-M 'P 1'
_symmetry_Int_Tables_number 1
_symmetry_space_group_name_Hall 'P 1'
loop_
_atom_site_label
_atom_site_fract_x
_atom_site_fract_y
_atom_site_fract_z
F1 0.000 0.000 0.000
F2 0.905 0.405 0.500
F3 0.809 0.809 0.000
F4 0.405 0.905 0.500
F5 0.595 0.095 0.500
Ni1 0.904 0.904 0.000
Ni2 0.096 0.096 0.000
K1 0.315 0.315 0.000
K2 0.685 0.685 0.000
F6 0.095 0.595 0.500
F7 0.191 0.191 0.000
K3 0.500 0.500 0.000
```

KRb2NiF6 | PBE+U | relaxed

Its space group is Fm-3m. The electronic total energy comes out at -4.0996 eV/atom. As for the calculated formation energy: -2506 kJ/mol of formula units. For the volume, the calculation gives 17.6 A^3/atom.

Structure (CIF):
```
data_KRb2NiF6
_chemical_formula_sum 'K1 Rb2 Ni1 F6'
_cell_length_a 6.292
_cell_length_b 6.292
_cell_length_c 6.292
_cell_angle_alpha 60.00
_cell_angle_beta 60.00
_cell_angle_gamma 60.00
_symmetry_space_group_name_H-M 'P 1'
_symmetry_Int_Tables_number 1
_symmetry_space_group_name_Hall 'P 1'
loop_
_atom_site_label
_atom_site_fract_x
_atom_site_fract_y
_atom_site_fract_z
Ni1 0.000 0.000 0.000
F1 0.784 0.216 0.784
F2 0.216 0.784 0.784
F3 0.216 0.216 0.784
F4 0.784 0.784 0.216
K1 0.500 0.500 0.500
Rb1 0.250 0.250 0.250
F5 0.216 0.784 0.216
F6 0.784 0.216 0.216
Rb2 0.750 0.750 0.750
```

K3V2P2O8F3 | PBE+U | relaxed

Its space group is Cmc2_1. The electronic total energy comes out at -6.5819 eV/atom. As for the calculated formation energy: -4931 kJ/mol of formula units. For the volume, the calculation gives 14.1 A^3/atom.

Structure (CIF):
```
data_K3V2P2O8F3
_chemical_formula_sum 'K6 V4 P4 O16 F6'
_cell_length_a 7.501
_cell_length_b 7.501
_cell_length_c 9.263
_cell_angle_alpha 90.00
_cell_angle_beta 90.00
_cell_angle_gamma 103.74
_symmetry_space_group_name_H-M 'P 1'
_symmetry_Int_Tables_number 1
_symmetry_space_group_name_Hall 'P 1'
loop_
_atom_site_label
_atom_site_fract_x
_atom_site_fract_y
_atom_site_fract_z
F1 0.758 0.758 0.748
O1 0.733 0.082 0.594
P1 0.255 0.744 0.499
F2 0.242 0.242 0.248
V1 0.428 0.061 0.246
P2 0.256 0.745 0.999
K1 0.861 0.861 0.421
P3 0.744 0.255 0.499
V2 0.939 0.572 0.746
K2 0.215 0.215 0.536
P4 0.745 0.256 0.999
O2 0.768 0.433 0.907
F3 0.893 0.599 0.245
O3 0.918 0.267 0.094
O4 0.082 0.733 0.594
F4 0.107 0.401 0.745
F5 0.599 0.893 0.245
F6 0.401 0.107 0.745
O5 0.763 0.429 0.594
O6 0.237 0.571 0.094
O7 0.429 0.763 0.594
O8 0.915 0.268 0.402
V3 0.572 0.939 0.746
O9 0.267 0.918 0.094
O10 0.571 0.237 0.094
O11 0.433 0.768 0.907
O12 0.232 0.567 0.407
O13 0.732 0.085 0.902
O14 0.268 0.915 0.402
K3 0.472 0.472 0.762
V4 0.061 0.428 0.246
K4 0.785 0.785 0.036
O15 0.085 0.732 0.902
K5 0.139 0.139 0.921
O16 0.567 0.232 0.407
K6 0.528 0.528 0.262
```